[1]
Density functional theory data (PBE with a Hubbard U) for a geometry-optimized Fe2OF3 structure.

Cell lengths 3.1058, 9.6890, 4.8512 Å; angles 90.00, 90.00, 90.00 degrees
Closest atoms and distances in Å follow each position.
Fractional positions:
Fe (0.0000, 0.1298, 0.0000)  1 O 2.04, 5 F 2.08-2.14
Fe (0.0000, 0.6380, 0.0553)  2 O 1.89, 2 F 2.03-2.08
Fe (0.5000, 0.3620, 0.5553)  2 O 1.89, 2 F 2.03-2.08
Fe (0.5000, 0.8702, 0.5000)  1 O 2.04, 5 F 2.08-2.14
O (0.0000, 0.2843, 0.7148)  3 Fe 1.89-2.04
O (0.5000, 0.7157, 0.2148)  3 Fe 1.89-2.04
F (0.0000, 0.4714, 0.3268)  3 Fe 2.08-2.18
F (0.0000, 0.7676, 0.7254)  3 Fe 2.03-2.14
F (0.0000, 0.9800, 0.3174)  3 Fe 2.08-2.12
F (0.5000, 0.0200, 0.8174)  3 Fe 2.08-2.12
F (0.5000, 0.2324, 0.2254)  3 Fe 2.03-2.14
F (0.5000, 0.5286, 0.8268)  3 Fe 2.08-2.18

Computed properties:
As for the energy above the most stable polymorph in this dataset: 0.038 eV/atom. The formation energy from the elements comes out at -220.3 kJ per mole of atoms. For the magnetization, the calculation gives 18.000 μB per cell.

[2]
Density functional theory data (PBE with a Hubbard U) for a geometry-optimized Fe6O7F5 structure.

Cell lengths 4.7828, 5.6561, 7.7140 Å; angles 84.59, 87.83, 86.38 degrees
Closest atoms and distances in Å follow each position.
Fractional positions:
Fe (0.0000, 0.0000, 0.0000)  3 O 1.92-1.95, 3 F 2.06-2.09
Fe (0.0039, 0.3119, 0.6582)  3 O 1.94-2.00, 3 F 1.99-2.10
Fe (0.0410, 0.6724, 0.3269)  3 O 1.90-2.00, 3 F 2.01-2.12
Fe (0.4797, 0.1401, 0.3201)  5 O 1.92-2.01
Fe (0.5310, 0.4768, 0.9933)  3 O 1.93-2.02, 3 F 2.08-2.10
Fe (0.5741, 0.8453, 0.6585)  4 O 1.95-2.04, 1 F 2.14
O (0.2067, 0.9452, 0.2130)  3 Fe 1.90-2.01
O (0.3227, 0.4486, 0.2266)  3 Fe 1.94-2.02
O (0.3236, 0.1224, 0.5530)  3 Fe 1.92-2.04
O (0.7012, 0.1850, 0.1047)  3 Fe 1.92-1.94
O (0.7165, 0.5300, 0.7635)  3 Fe 1.96-1.99
O (0.7168, 0.8712, 0.4182)  3 Fe 1.95-2.00
O (0.8342, 0.0334, 0.7714)  3 Fe 1.94-1.97
F (0.2084, 0.6180, 0.5631)  2 Fe 2.01-2.10
F (0.2164, 0.2904, 0.8924)  3 Fe 2.09-2.10
F (0.3212, 0.7890, 0.8915)  3 Fe 2.08-2.14
F (0.8242, 0.6859, 0.0908)  3 Fe 2.06-2.12
F (0.8318, 0.3788, 0.4263)  2 Fe 1.99-2.06

Computed properties:
As for the energy above the most stable polymorph in this dataset: 0.015 eV/atom. The formation energy from the elements comes out at -183.3 kJ per mole of atoms. For the magnetization, the calculation gives 29.001 μB per cell.

[3]
Density functional theory data (PBE with a Hubbard U) for a geometry-optimized Fe5O3F7 structure.

Cell lengths 4.7975, 4.7975, 15.6822 Å; angles 90.31, 90.31, 91.39 degrees
Closest atoms and distances in Å follow each position.
Fractional positions:
Fe (0.0000, 0.0000, 0.0000)  2 O 1.89, 2 F 2.01
Fe (0.0499, 0.0171, 0.1940)  2 O 1.87-1.91, 2 F 2.07-2.08
Fe (0.0635, 0.0053, 0.6008)  1 O 1.99, 5 F 2.13-2.16
Fe (0.5220, 0.4717, 0.6992)  2 O 1.91, 3 F 2.04-2.09
Fe (0.5280, 0.4720, 0.5000)  2 O 1.94, 4 F 2.02-2.09
Fe (0.5283, 0.4780, 0.3008)  2 O 1.91, 3 F 2.04-2.09
Fe (0.5431, 0.4450, 0.1048)  2 O 2.03-2.08, 4 F 2.13-2.22
Fe (0.5550, 0.4569, 0.8952)  2 O 2.03-2.08, 4 F 2.13-2.22
Fe (0.9829, 0.9501, 0.8060)  2 O 1.87-1.91, 2 F 2.07-2.08
Fe (0.9947, 0.9365, 0.3992)  1 O 1.99, 5 F 2.13-2.16
O (0.3393, 0.2814, 0.2104)  3 Fe 1.87-2.08
O (0.3593, 0.3040, 0.5998)  3 Fe 1.91-1.99
O (0.6960, 0.6407, 0.4002)  3 Fe 1.91-1.99
O (0.7186, 0.6607, 0.7896)  3 Fe 1.87-2.08
O (0.8389, 0.1512, 0.9005)  3 Fe 1.89-2.03
O (0.8488, 0.1611, 0.0995)  3 Fe 1.89-2.03
F (0.2192, 0.7663, 0.9011)  3 Fe 2.08-2.22
F (0.2246, 0.7740, 0.7050)  3 Fe 2.06-2.15
F (0.2260, 0.7754, 0.2950)  3 Fe 2.06-2.15
F (0.2337, 0.7663, 0.5000)  3 Fe 2.02-2.13
F (0.2337, 0.7808, 0.0989)  3 Fe 2.08-2.22
F (0.3126, 0.2540, 0.7908)  3 Fe 2.04-2.21
F (0.3155, 0.2598, 0.4018)  3 Fe 2.09-2.16
F (0.3310, 0.2640, 0.9974)  3 Fe 2.01-2.14
F (0.7360, 0.6690, 0.0026)  3 Fe 2.01-2.14
F (0.7402, 0.6845, 0.5982)  3 Fe 2.09-2.16
F (0.7460, 0.6874, 0.2092)  3 Fe 2.04-2.21
F (0.8234, 0.1766, 0.5000)  3 Fe 2.03-2.13
F (0.8274, 0.1696, 0.7036)  3 Fe 2.07-2.13
F (0.8304, 0.1726, 0.2964)  3 Fe 2.07-2.13

Computed properties:
As for the energy above the most stable polymorph in this dataset: 0.004 eV/atom. The formation energy from the elements comes out at -214.7 kJ per mole of atoms. For the magnetization, the calculation gives 46.000 μB per cell.